[1]
# KLiCoO2

Crystalline KLiCoO2 at its relaxed geometry (PBE with a Hubbard U, Materials Project).

Cell and atoms, written as extended XYZ:
```
10
Lattice="5.4537 -1.6944 0.0000 5.4537 1.6944 0.0000 -4.2569 0.0000 7.2025" Properties=species:S:1:pos:R:3 pbc="T T T"
K 1.2515 0.0000 0.9185
K 5.3990 0.0000 6.2840
Li 1.3418 0.0000 3.9984
Li 5.3087 0.0000 3.2041
Co -2.4648 0.0000 4.8883
Co 9.1152 0.0000 2.3143
O -0.6073 0.0000 4.0635
O 4.2020 0.0000 1.4154
O 2.4485 0.0000 5.7871
O 7.2578 0.0000 3.1390
```

Computed properties:
space group	C2/m
formation energy	-1.594	eV per atom
E_tot	-4.996	eV per atom



[2]
# Sc2W5Se3O12

Crystalline Sc2W5Se3O12 at its relaxed geometry (PBE with a Hubbard U, Materials Project).

Cell and atoms, written as extended XYZ:
```
44
Lattice="7.5455 0.0000 0.0000 0.4940 10.2817 0.0000 3.0903 0.7527 10.4335" Properties=species:S:1:pos:R:3 pbc="T T T"
Sc 0.0000 0.0000 0.0000
Sc 3.4961 5.5074 10.2894
Sc 3.7351 7.0503 3.2763
Sc 7.4632 3.5535 6.4231
W 4.4707 8.0733 5.9749
W 4.4865 3.8149 5.4602
W 5.7299 9.5072 8.4302
W 4.5100 0.8507 4.8287
W 6.2190 6.4652 8.0599
W 5.2253 4.6400 1.6134
W 5.2265 1.4958 1.2888
W 6.4635 6.3448 4.3553
W 7.5916 9.1888 5.0880
W 7.3721 2.1859 3.6804
Se 1.7529 4.4691 3.1953
Se 2.5513 10.3757 2.8214
Se 5.3245 2.7802 9.0867
Se 6.2849 7.5617 0.6069
Se 9.2684 10.8030 7.3883
Se 9.7466 5.9005 6.8813
O 1.9378 6.1571 3.6516
O 3.9158 3.5303 9.6920
O 1.6915 4.5563 1.4840
O 1.6389 0.5002 1.2035
O 2.8872 8.7143 2.5676
O 3.9260 5.9102 6.3469
O 4.4937 1.2248 8.8535
O 4.7756 10.0912 6.5427
O 5.4446 3.3515 7.4180
O 6.4902 7.8934 9.3618
O 4.7150 5.1084 3.7106
O 4.3263 0.5731 2.8460
O 6.8247 5.5076 6.3018
O 5.7045 6.8091 2.2134
O 5.0103 3.1772 0.3024
O 7.9305 9.6159 7.1309
O 7.8444 1.9467 7.6533
O 6.9383 9.0366 1.2282
O 7.5487 4.4447 3.6969
O 9.6978 10.4206 9.0074
O 8.1975 10.2841 3.5185
O 9.9088 5.7817 8.5730
O 7.7579 6.7626 0.3132
O 9.4560 4.2504 6.3676
```

Computed properties:
space group	P1
formation energy	-0.859	eV per atom
E_tot	-6.172	eV per atom